Entry 1:
meta-GGA r2SCAN PaSi3, optimized geometry; density = 7.570 g/cm3; ΔE_f = -0.341 eV/atom; symmetry = Pm-3m (221); crystal system = cubic; magnetization = 0.0 μB per cell
1.0
4.105 0.000 0.000
0.000 4.105 0.000
0.000 0.000 4.105
Si Pa
3 1
direct
0.500 0.500 0.000
0.000 0.500 0.500
0.500 0.000 0.500
0.000 0.000 0.000

=====

Entry 2:
meta-GGA r2SCAN TmPaTc2, optimized geometry; density = 12.691 g/cm3; ΔE_f = -0.243 eV/atom; symmetry = Fm-3m (225); crystal system = cubic; magnetization = 0.0 μB per cell
1.0
0.000 3.391 3.391
3.391 0.000 3.391
3.391 3.391 0.000
Tc Pa Tm
2 1 1
direct
0.500 0.500 0.500
0.000 0.000 0.000
0.250 0.250 0.250
0.750 0.750 0.750

=====

Entry 3:
meta-GGA r2SCAN ZrPaTc2, optimized geometry; density = 11.354 g/cm3; ΔE_f = -0.350 eV/atom; symmetry = Fm-3m (225); crystal system = cubic; magnetization = 0.0 μB per cell
1.0
0.000 3.359 3.359
3.359 0.000 3.359
3.359 3.359 0.000
Pa Tc Zr
1 2 1
direct
0.500 0.500 0.500
0.250 0.250 0.250
0.750 0.750 0.750
0.000 0.000 0.000

=====

Entry 4:
meta-GGA r2SCAN PaTe3, optimized geometry; density = 9.018 g/cm3; ΔE_f = -0.478 eV/atom; symmetry = P6_3/mmc (194); crystal system = hexagonal; magnetization = 1.8 μB per cell
1.0
-3.940 -3.538 4.093
4.115 -3.151 -4.234
4.188 0.023 4.052
Te Pa
6 2
direct
0.648 0.824 0.250
0.176 0.824 0.250
0.352 0.176 0.750
0.176 0.352 0.250
0.824 0.648 0.750
0.824 0.176 0.750
0.667 0.333 0.250
0.333 0.667 0.750

=====

Entry 5:
meta-GGA r2SCAN Th3Pa, optimized geometry; density = 12.833 g/cm3; ΔE_f = 0.091 eV/atom; symmetry = Pm-3m (221); crystal system = cubic; magnetization = 0.0 μB per cell
1.0
4.932 0.000 0.000
0.000 4.932 0.000
0.000 0.000 4.932
Th Pa
3 1
direct
0.500 0.500 0.000
0.500 0.000 0.500
0.000 0.500 0.500
0.000 0.000 0.000

=====

Entry 6:
meta-GGA r2SCAN PaTi3, optimized geometry; density = 8.382 g/cm3; ΔE_f = 0.056 eV/atom; symmetry = Fm-3m (225); crystal system = cubic; magnetization = 0.0 μB per cell
1.0
2.306 0.935 4.007
0.945 4.465 1.191
-2.270 2.008 3.614
Ti Pa
3 1
direct
0.500 0.500 0.500
0.750 0.750 0.750
0.250 0.250 0.250
0.000 0.000 0.000

=====

Entry 7:
meta-GGA r2SCAN Yb3Pa, optimized geometry; density = 11.164 g/cm3; ΔE_f = 0.158 eV/atom; symmetry = Pm-3m (221); crystal system = cubic; magnetization = 0.0 μB per cell
1.0
4.814 0.000 0.000
0.000 4.814 0.000
0.000 0.000 4.814
Pa Yb
1 3
direct
0.000 0.000 0.000
0.500 0.000 0.500
0.000 0.500 0.500
0.500 0.500 0.000

=====

Entry 8:
meta-GGA r2SCAN YbPa3, optimized geometry; density = 14.181 g/cm3; ΔE_f = 0.131 eV/atom; symmetry = Pm-3m (221); crystal system = cubic; magnetization = 0.0 μB per cell
1.0
-3.166 -0.539 3.381
3.421 -0.312 3.154
-0.138 4.622 0.608
Pa Yb
3 1
direct
0.000 0.500 0.500
0.500 0.000 0.500
0.500 0.500 0.000
0.000 0.000 0.000

=====

Entry 9:
meta-GGA r2SCAN Pd5Pb3, optimized geometry; density = 12.566 g/cm3; ΔE_f = -0.278 eV/atom; symmetry = C2 (5); crystal system = monoclinic; magnetization = 0.0 μB per cell
1.0
-6.119 -2.292 3.309
-4.858 -3.440 -4.267
-0.611 -7.299 1.005
Pd Pb
10 6
direct
0.953 0.205 0.593
0.622 0.879 0.249
0.036 0.621 0.342
0.448 0.711 0.092
0.379 0.964 0.658
0.121 0.378 0.751
0.207 0.135 0.160
0.795 0.047 0.407
0.865 0.793 0.840
0.289 0.552 0.908
0.705 0.590 0.712
0.834 0.463 0.211
0.012 0.988 0.000
0.410 0.295 0.288
0.233 0.767 0.500
0.537 0.166 0.789

=====

Entry 10:
meta-GGA r2SCAN Pd3Pb, optimized geometry; density = 12.879 g/cm3; ΔE_f = -0.303 eV/atom; symmetry = Pm-3m (221); crystal system = cubic; magnetization = 0.0 μB per cell
1.0
4.079 0.000 0.000
0.000 4.079 0.000
0.000 0.000 4.079
Pb Pd
1 3
direct
0.000 0.000 0.000
0.000 0.500 0.500
0.500 0.500 0.000
0.500 0.000 0.500

=====

Entry 11:
meta-GGA r2SCAN PdPb2, optimized geometry; density = 12.165 g/cm3; ΔE_f = -0.208 eV/atom; symmetry = I4/mcm (140); crystal system = tetragonal; magnetization = 0.0 μB per cell
1.0
5.520 -0.004 -1.521
-3.203 4.499 -1.522
0.003 0.004 5.725
Pd Pb
2 4
direct
0.250 0.250 0.000
0.750 0.750 0.000
0.663 0.163 0.826
0.837 0.663 0.500
0.163 0.337 0.500
0.337 0.837 0.174

=====

Entry 12:
meta-GGA r2SCAN PmPd2Pb, optimized geometry; density = 11.218 g/cm3; ΔE_f = -0.704 eV/atom; symmetry = I4/mmm (139); crystal system = tetragonal; magnetization = 0.0 μB per cell
1.0
0.000 3.473 3.472
3.468 -0.001 3.473
3.467 3.472 0.000
Pb Pm Pd
1 1 2
direct
0.250 0.250 0.250
0.750 0.750 0.750
0.500 0.500 0.500
0.000 0.000 0.000